(1)
Computed, not measured: a geometry-optimized Te8Ir3 structure at the PBE level of DFT.

```
Te8Ir3
1.0
-4.121 -4.897 -1.253
4.012 -2.036 -4.722
3.155 -3.647 4.391
Te Ir
8 3
Direct
0.368 0.368 0.368
0.123 0.370 0.868
0.877 0.630 0.132
0.370 0.868 0.123
0.132 0.877 0.630
0.868 0.123 0.370
0.630 0.132 0.877
0.632 0.632 0.632
0.500 0.500 0.000
0.500 0.000 0.500
0.000 0.500 0.500
```

Calculated values
crystal system: trigonal
space group: R-3


(2)
Computed, not measured: a geometry-optimized TbGePd structure at the PBE level of DFT.

```
TbGePd
1.0
-8.737 0.123 7.434
-11.418 -0.562 -0.957
10.912 -3.429 -0.890
Tb Pd Ge
6 6 6
Direct
0.201 0.666 0.535
0.869 0.334 0.535
0.952 0.500 0.452
0.291 0.833 0.458
0.535 0.000 0.535
0.626 0.167 0.458
0.432 0.266 0.166
0.931 0.104 0.827
0.899 0.734 0.166
0.252 0.428 0.824
0.723 0.896 0.827
0.395 0.572 0.824
0.561 0.406 0.155
0.601 0.765 0.836
0.090 0.935 0.155
0.220 0.065 0.155
0.071 0.235 0.836
0.750 0.594 0.155
```

Calculated values
crystal system: orthorhombic
space group: Imm2


(3)
Computed, not measured: a geometry-optimized CoNiSb2S2 structure at the PBE level of DFT.

```
CoNiSb2S2
1.0
5.885 0.000 0.000
0.000 5.876 0.000
0.000 0.016 5.882
S Ni Co Sb
4 2 2 4
Direct
0.378 0.384 0.126
0.878 0.616 0.874
0.618 0.125 0.633
0.118 0.875 0.367
0.479 0.022 0.271
0.979 0.978 0.729
0.020 0.519 0.230
0.520 0.481 0.770
0.134 0.373 0.617
0.370 0.864 0.880
0.870 0.136 0.120
0.634 0.627 0.383
```

Calculated values
crystal system: monoclinic
space group: P2_1


E (computed, eV/atom): -4.952; -5.798; -5.221
Ρ (computed, kg/m3): 9564; 9397; 6944